First-principles (PBE-GGA) data for a geometry-optimized ZnSb3XeF23 structure, as listed in Materials Project.

Cell: 11.072 10.860 19.188 Å, 90.00 125.09 90.00°
Element x y z (fractional)
Zn1 0.000 0.000 0.000
Zn2 0.000 0.500 0.500
Zn3 0.500 0.000 0.500
Zn4 0.500 0.500 0.000
Sb1 0.193 0.205 0.488
Sb2 0.193 0.295 0.988
Sb3 0.273 0.505 0.747
Sb4 0.273 0.995 0.247
Sb5 0.287 0.708 0.494
Sb6 0.287 0.792 0.994
Sb7 0.713 0.208 0.006
Sb8 0.713 0.292 0.506
Sb9 0.727 0.005 0.753
Sb10 0.727 0.495 0.253
Sb11 0.807 0.705 0.012
Sb12 0.807 0.795 0.512
Xe1 0.297 0.053 0.754
Xe2 0.297 0.447 0.254
Xe3 0.703 0.553 0.746
Xe4 0.703 0.947 0.246
F1 0.051 0.168 0.972
F2 0.051 0.332 0.472
F3 0.055 0.080 0.462
F4 0.055 0.420 0.962
F5 0.086 0.029 0.224
F6 0.086 0.471 0.724
F7 0.109 0.140 0.678
F8 0.109 0.360 0.178
F9 0.124 0.216 0.373
F10 0.124 0.284 0.873
F11 0.134 0.589 0.472
F12 0.134 0.911 0.972
F13 0.166 0.564 0.257
F14 0.166 0.936 0.757
F15 0.171 0.739 0.879
F16 0.171 0.761 0.379
F17 0.187 0.018 0.125
F18 0.187 0.482 0.625
F19 0.199 0.673 0.024
F20 0.199 0.827 0.524
F21 0.234 0.676 0.729
F22 0.234 0.824 0.229
F23 0.251 0.552 0.158
F24 0.251 0.948 0.658
F25 0.267 0.192 0.607
F26 0.267 0.308 0.107
F27 0.304 0.123 0.850
F28 0.304 0.377 0.350
F29 0.324 0.166 0.265
F30 0.324 0.334 0.765
F31 0.333 0.169 0.019
F32 0.333 0.331 0.519
F33 0.340 0.080 0.507
F34 0.340 0.420 0.007
F35 0.357 0.522 0.868
F36 0.357 0.978 0.368
F37 0.378 0.588 0.468
F38 0.378 0.912 0.968
F39 0.410 0.658 0.612
F40 0.410 0.842 0.112
F41 0.442 0.671 0.020
F42 0.442 0.829 0.520
F43 0.445 0.570 0.330
F44 0.445 0.930 0.830
F45 0.463 0.535 0.769
F46 0.463 0.965 0.269
F47 0.537 0.035 0.731
F48 0.537 0.465 0.231
F49 0.555 0.070 0.170
F50 0.555 0.430 0.670
F51 0.558 0.171 0.480
F52 0.558 0.329 0.980
F53 0.590 0.158 0.888
F54 0.590 0.342 0.388
F55 0.622 0.088 0.032
F56 0.622 0.412 0.532
F57 0.643 0.022 0.632
F58 0.643 0.478 0.132
F59 0.660 0.580 0.993
F60 0.660 0.920 0.493
F61 0.667 0.669 0.481
F62 0.667 0.831 0.981
F63 0.676 0.666 0.235
F64 0.676 0.834 0.735
F65 0.696 0.623 0.650
F66 0.696 0.877 0.150
F67 0.733 0.692 0.893
F68 0.733 0.808 0.393
F69 0.749 0.052 0.342
F70 0.749 0.448 0.842
F71 0.766 0.176 0.771
F72 0.766 0.324 0.271
F73 0.801 0.173 0.476
F74 0.801 0.327 0.976
F75 0.813 0.518 0.375
F76 0.813 0.982 0.875
F77 0.829 0.239 0.621
F78 0.829 0.261 0.121
F79 0.834 0.064 0.243
F80 0.834 0.436 0.743
F81 0.866 0.089 0.028
F82 0.866 0.411 0.528
F83 0.876 0.716 0.127
F84 0.876 0.784 0.627
F85 0.891 0.640 0.822
F86 0.891 0.860 0.322
F87 0.914 0.529 0.276
F88 0.914 0.971 0.776
F89 0.945 0.580 0.038
F90 0.945 0.920 0.538
F91 0.949 0.668 0.528
F92 0.949 0.832 0.028

First-principles (PBE-GGA) data for a geometry-optimized YSb3F15 structure, as listed in Materials Project.

Cell: 5.843 11.361 10.575 Å, 90.00 104.48 90.00°
Element x y z (fractional)
Y1 0.242 0.250 0.218
Y2 0.758 0.750 0.782
Sb1 0.000 0.000 0.500
Sb2 0.000 0.500 0.500
Sb3 0.378 0.064 0.846
Sb4 0.378 0.436 0.846
Sb5 0.622 0.564 0.154
Sb6 0.622 0.936 0.154
F1 0.020 0.569 0.671
F2 0.020 0.931 0.671
F3 0.114 0.750 0.842
F4 0.136 0.123 0.929
F5 0.136 0.377 0.929
F6 0.228 0.111 0.601
F7 0.228 0.389 0.601
F8 0.250 0.596 0.477
F9 0.250 0.904 0.477
F10 0.338 0.250 0.412
F11 0.361 0.582 0.987
F12 0.361 0.918 0.987
F13 0.399 0.073 0.199
F14 0.399 0.427 0.199
F15 0.454 0.250 0.825
F16 0.546 0.750 0.175
F17 0.601 0.573 0.801
F18 0.601 0.927 0.801
F19 0.639 0.082 0.013
F20 0.639 0.418 0.013
F21 0.662 0.750 0.588
F22 0.750 0.096 0.523
F23 0.750 0.404 0.523
F24 0.772 0.611 0.399
F25 0.772 0.889 0.399
F26 0.864 0.623 0.071
F27 0.864 0.877 0.071
F28 0.886 0.250 0.158
F29 0.980 0.069 0.329
F30 0.980 0.431 0.329

First-principles (PBE-GGA) data for a geometry-optimized ZnSbF6 structure, as listed in Materials Project.

Cell: 5.716 5.716 5.716 Å, 58.07 58.07 58.07°
Element x y z (fractional)
Zn1 0.000 0.000 0.000
Sb1 0.500 0.500 0.500
F1 0.158 0.342 0.748
F2 0.252 0.842 0.658
F3 0.342 0.748 0.158
F4 0.658 0.252 0.842
F5 0.748 0.158 0.342
F6 0.842 0.658 0.252

First-principles (PBE-GGA) data for a geometry-optimized ZnSbF5 structure, as listed in Materials Project.

Output
- offset from the most stable computed form (eV per formula unit) = 0.00

Cell: 5.742 10.392 8.485 Å, 90.00 118.80 90.00°
Element x y z (fractional)
Zn1 0.027 0.009 0.288
Zn2 0.027 0.491 0.788
Zn3 0.973 0.509 0.212
Zn4 0.973 0.991 0.712
Sb1 0.436 0.239 0.157
Sb2 0.436 0.261 0.657
Sb3 0.564 0.739 0.343
Sb4 0.564 0.761 0.843
F1 0.124 0.110 0.126
F2 0.124 0.390 0.626
F3 0.148 0.111 0.522
F4 0.148 0.389 0.022
F5 0.280 0.630 0.878
F6 0.280 0.870 0.378
F7 0.299 0.191 0.898
F8 0.299 0.309 0.398
F9 0.336 0.566 0.310
F10 0.336 0.934 0.810
F11 0.664 0.066 0.190
F12 0.664 0.434 0.690
F13 0.701 0.691 0.602
F14 0.701 0.809 0.102
F15 0.720 0.130 0.622
F16 0.720 0.370 0.122
F17 0.852 0.611 0.978
F18 0.852 0.889 0.478
F19 0.876 0.610 0.374
F20 0.876 0.890 0.874

First-principles (PBE-GGA) data for a geometry-optimized ZnSbF5 structure, as listed in Materials Project.

Output
- offset from the most stable computed form (eV per formula unit) = 0.04

Cell: 5.642 5.642 8.980 Å, 113.81 113.81 70.61°
Element x y z (fractional)
Zn1 0.001 0.999 0.500
Zn2 0.999 0.001 0.000
Sb1 0.480 0.518 0.254
Sb2 0.518 0.480 0.754
F1 0.133 0.809 0.287
F2 0.192 0.280 0.575
F3 0.261 0.802 0.657
F4 0.280 0.192 0.075
F5 0.360 0.646 0.052
F6 0.646 0.360 0.552
F7 0.704 0.826 0.374
F8 0.802 0.261 0.157
F9 0.809 0.133 0.787
F10 0.826 0.704 0.874

First-principles (PBE-GGA) data for a geometry-optimized ScF3 structure, as listed in Materials Project.

Cell: 5.472 6.966 4.815 Å, 90.00 90.00 90.00°
Element x y z (fractional)
Sc1 0.131 0.250 0.040
Sc2 0.369 0.750 0.540
Sc3 0.631 0.250 0.460
Sc4 0.869 0.750 0.960
F1 0.056 0.750 0.324
F2 0.153 0.575 0.819
F3 0.153 0.925 0.819
F4 0.347 0.075 0.319
F5 0.347 0.425 0.319
F6 0.444 0.250 0.824
F7 0.556 0.750 0.176
F8 0.653 0.575 0.681
F9 0.653 0.925 0.681
F10 0.847 0.075 0.181
F11 0.847 0.425 0.181
F12 0.944 0.250 0.676

First-principles (PBE-GGA) data for a geometry-optimized ScF3 structure, as listed in Materials Project.

Cell: 3.979 3.979 3.350 Å, 92.47 92.47 124.78°
Element x y z (fractional)
Sc1 0.000 0.000 0.000
F1 0.002 0.524 0.183
F2 0.476 0.998 0.817
F3 0.502 0.498 0.500

First-principles (PBE-GGA) data for a geometry-optimized ScF3 structure, as listed in Materials Project.

Cell: 4.070 4.070 4.070 Å, 90.00 90.00 90.00°
Element x y z (fractional)
Sc1 0.000 0.000 0.000
F1 0.000 0.000 0.500
F2 0.000 0.500 0.000
F3 0.500 0.000 0.000

First-principles (PBE-GGA) data for a geometry-optimized ScF3 structure, as listed in Materials Project.

Output
- maximum piezoelectric response (C/m²) = 0.2

Cell: 4.069 4.069 4.069 Å, 89.83 89.83 89.83°
Element x y z (fractional)
Sc1 0.000 0.000 0.000
F1 0.012 0.500 0.988
F2 0.500 0.988 0.012
F3 0.988 0.012 0.500

First-principles (PBE-GGA) data for a geometry-optimized ScF3 structure, as listed in Materials Project.

Cell: 3.962 3.962 3.440 Å, 90.00 90.00 125.33°
Element x y z (fractional)
Sc1 0.000 0.000 0.000
F1 0.000 0.500 0.813
F2 0.500 0.000 0.187
F3 0.500 0.500 0.500

First-principles (PBE-GGA) data for a geometry-optimized ScF3 structure, as listed in Materials Project.

Cell: 3.870 3.870 4.073 Å, 104.50 104.50 106.73°
Element x y z (fractional)
Sc1 0.000 0.000 0.000
F1 0.086 0.552 0.148
F2 0.448 0.914 0.852
F3 0.922 0.078 0.500

First-principles (PBE-GGA) data for a geometry-optimized ScF3 structure, as listed in Materials Project.

Cell: 5.740 5.740 5.740 Å, 60.09 60.09 60.09°
Element x y z (fractional)
Sc1 0.000 0.000 0.000
Sc2 0.500 0.500 0.500
F1 0.227 0.750 0.273
F2 0.250 0.727 0.773
F3 0.273 0.227 0.750
F4 0.727 0.773 0.250
F5 0.750 0.273 0.227
F6 0.773 0.250 0.727

Calculated formation energy per entry: -60.8; -53.6; -20.6; -18.1; -18.1; -16.8; -13.7; -17.2; -17.2; -13.7; -16.2; -17.2 eV per formula unit